(1)
Here is LaSi2Rh3 after structural relaxation from the Materials Project database. Energies are from PBE.

abc: 6.730 6.730 6.730
angles: 115.31 85.78 130.25
Sites, in units of the cell vectors:
La: 0.459 0.209 0.250
La: 0.541 0.791 0.750
Si: 0.118 0.696 0.422
Si: 0.225 0.304 0.922
Si: 0.775 0.696 0.078
Si: 0.882 0.304 0.578
Rh: 0.000 0.000 0.500
Rh: 0.000 0.215 0.215
Rh: 0.000 0.500 0.000
Rh: 0.000 0.785 0.785
Rh: 0.500 0.215 0.715
Rh: 0.500 0.785 0.285

Computed properties:
The space group is Imma (74). The value obtained for the calculated density is 8.3 g/cm3. As for the formation energy: -1059.2 meV per atom.



(2)
Here is Er2CuOs after structural relaxation from the Materials Project database. Energies are from PBE.

abc: 4.804 4.804 4.804
angles: 60.00 60.00 60.00
Sites, in units of the cell vectors:
Er: 0.250 0.250 0.250
Er: 0.750 0.750 0.750
Cu: 0.000 0.000 0.000
Os: 0.500 0.500 0.500

Computed properties:
The space group is Fm-3m (225). The value obtained for the calculated density is 12.5 g/cm3. As for the formation energy: -310.0 meV per atom.



(3)
Here is Y2Pt after structural relaxation from the Materials Project database. Energies are from PBE.

abc: 7.197 4.788 8.815
angles: 90.00 90.00 90.00
Sites, in units of the cell vectors:
Y: 0.012 0.250 0.168
Y: 0.145 0.250 0.580
Y: 0.355 0.750 0.080
Y: 0.488 0.750 0.668
Y: 0.512 0.250 0.332
Y: 0.645 0.250 0.920
Y: 0.855 0.750 0.420
Y: 0.988 0.750 0.832
Pt: 0.242 0.250 0.906
Pt: 0.258 0.750 0.406
Pt: 0.742 0.250 0.594
Pt: 0.758 0.750 0.094

Computed properties:
The space group is Pnma (62). The value obtained for the calculated density is 8.2 g/cm3. As for the formation energy: -926.7 meV per atom.



(4)
Here is Tb3Al4Fe2 after structural relaxation from the Materials Project database. Energies are from PBE.

abc: 5.415 5.421 13.435
angles: 89.66 89.21 60.82
Sites, in units of the cell vectors:
Tb: 0.012 0.497 0.121
Tb: 0.332 0.831 0.542
Tb: 0.338 0.831 0.794
Tb: 0.662 0.169 0.206
Tb: 0.668 0.169 0.458
Tb: 0.988 0.503 0.879
Al: 0.000 0.000 0.000
Al: 0.000 0.500 0.500
Al: 0.168 0.164 0.331
Al: 0.333 0.333 0.668
Al: 0.343 0.821 0.161
Al: 0.657 0.179 0.839
Al: 0.667 0.667 0.332
Al: 0.832 0.836 0.669
Fe: 0.166 0.667 0.333
Fe: 0.500 0.000 0.000
Fe: 0.500 0.500 0.000
Fe: 0.834 0.333 0.667

Computed properties:
The space group is P-1 (2). The value obtained for the calculated density is 6.7 g/cm3. As for the formation energy: -354.5 meV per atom.



(5)
Here is Mg14FeCo after structural relaxation from the Materials Project database. Energies are from PBE.

abc: 9.684 6.235 6.235
angles: 60.11 90.00 90.00
Sites, in units of the cell vectors:
Mg: 0.000 0.000 0.000
Mg: 0.000 0.004 0.504
Mg: 0.000 0.500 0.500
Mg: 0.000 0.504 0.004
Mg: 0.260 0.162 0.162
Mg: 0.261 0.662 0.662
Mg: 0.279 0.176 0.678
Mg: 0.279 0.678 0.176
Mg: 0.500 0.496 0.998
Mg: 0.500 0.998 0.496
Mg: 0.721 0.176 0.678
Mg: 0.721 0.678 0.176
Mg: 0.739 0.662 0.662
Mg: 0.740 0.162 0.162
Fe: 0.500 0.008 0.008
Co: 0.500 0.508 0.508

Computed properties:
The space group is Amm2 (38). The offset from the most stable computed form is 0.000 eV per atom. The value obtained for the calculated density is 2.3 g/cm3. As for the formation energy: 122.1 meV per atom.



(6)
Here is Te2Mo3WS6 after structural relaxation from the Materials Project database. Energies are from PBE.

abc: 3.272 3.272 39.051
angles: 90.00 90.00 120.00
Sites, in units of the cell vectors:
Te: 0.000 0.000 0.000
Te: 0.000 0.000 0.099
Mo: 0.000 0.000 0.861
Mo: 0.333 0.667 0.049
Mo: 0.333 0.667 0.425
W: 0.000 0.000 0.238
S: 0.000 0.000 0.386
S: 0.000 0.000 0.465
S: 0.333 0.667 0.199
S: 0.333 0.667 0.278
S: 0.333 0.667 0.821
S: 0.333 0.667 0.900

Computed properties:
The space group is P3m1 (156). The offset from the most stable computed form is 0.000 eV per atom. The value obtained for the calculated density is 4.2 g/cm3. As for the formation energy: -899.8 meV per atom.



(7)
Here is NaSO3F after structural relaxation from the Materials Project database. Energies are from PBE.

abc: 5.568 5.568 6.793
angles: 90.00 90.00 120.00
Sites, in units of the cell vectors:
Na: 0.000 0.000 0.000
Na: 0.000 0.000 0.500
S: 0.333 0.667 0.290
S: 0.667 0.333 0.710
O: 0.186 0.372 0.244
O: 0.186 0.814 0.244
O: 0.372 0.186 0.756
O: 0.628 0.814 0.244
O: 0.814 0.186 0.756
O: 0.814 0.628 0.756
F: 0.333 0.667 0.529
F: 0.667 0.333 0.471

Computed properties:
The space group is P-3m1 (164). The value obtained for the calculated density is 2.2 g/cm3. As for the formation energy: -2190.6 meV per atom.



(8)
Here is K2P4PtBrO11 after structural relaxation from the Materials Project database. Energies are from PBE.

abc: 10.330 10.191 11.603
angles: 56.13 55.01 68.86
Sites, in units of the cell vectors:
K: 0.207 0.793 0.207
K: 0.280 0.280 0.220
K: 0.780 0.780 0.720
K: 0.793 0.207 0.793
P: 0.097 0.511 0.673
P: 0.281 0.327 0.489
P: 0.327 0.281 0.903
P: 0.476 0.930 0.220
P: 0.511 0.097 0.719
P: 0.626 0.780 0.070
P: 0.780 0.626 0.524
P: 0.930 0.476 0.374
Pt: 0.336 0.495 0.664
Pt: 0.495 0.336 0.505
Br: 0.324 0.726 0.676
Br: 0.726 0.324 0.274
O: 0.107 0.666 0.531
O: 0.137 0.356 0.644
O: 0.164 0.273 0.036
O: 0.273 0.164 0.527
O: 0.304 0.469 0.334
O: 0.304 0.970 0.266
O: 0.356 0.137 0.863
O: 0.469 0.304 0.893
O: 0.473 0.964 0.727
O: 0.526 0.740 0.260
O: 0.540 0.734 0.030
O: 0.548 0.997 0.256
O: 0.583 0.970 0.030
O: 0.666 0.107 0.696
O: 0.734 0.540 0.696
O: 0.740 0.526 0.474
O: 0.744 0.801 0.452
O: 0.801 0.744 0.003
O: 0.964 0.473 0.836
O: 0.970 0.304 0.460
O: 0.970 0.583 0.417
O: 0.997 0.548 0.199

Computed properties:
The space group is Fmm2 (42). The value obtained for the calculated density is 2.6 g/cm3. As for the formation energy: -2017.0 meV per atom.



(9)
Here is CoCu2SnS4 after structural relaxation from the Materials Project database. Energies are from PBE.

abc: 6.583 6.583 6.583
angles: 131.43 131.43 71.13
Sites, in units of the cell vectors:
Co: 0.000 0.000 0.000
Cu: 0.250 0.750 0.500
Cu: 0.750 0.250 0.500
Sn: 0.500 0.500 0.000
S: 0.100 0.100 0.462
S: 0.362 0.900 0.000
S: 0.638 0.638 0.538
S: 0.900 0.362 0.000

Computed properties:
The space group is I-42m (121). The value obtained for the calculated density is 4.6 g/cm3. As for the formation energy: -563.1 meV per atom.



(10)
Here is AlP3H2O10 after structural relaxation from the Materials Project database. Energies are from PBE.

abc: 7.333 8.625 12.496
angles: 90.00 112.68 90.00
Sites, in units of the cell vectors:
Al: 0.240 0.071 0.204
Al: 0.240 0.429 0.704
Al: 0.760 0.571 0.296
Al: 0.760 0.929 0.796
P: 0.143 0.110 0.793
P: 0.143 0.390 0.293
P: 0.211 0.617 0.480
P: 0.211 0.883 0.980
P: 0.360 0.106 0.639
P: 0.360 0.394 0.139
P: 0.640 0.606 0.861
P: 0.640 0.894 0.361
P: 0.789 0.117 0.020
P: 0.789 0.383 0.520
P: 0.857 0.610 0.707
P: 0.857 0.890 0.207
H: 0.240 0.132 0.447
H: 0.240 0.368 0.947
H: 0.278 0.672 0.907
H: 0.278 0.828 0.407
H: 0.722 0.172 0.593
H: 0.722 0.328 0.093
H: 0.760 0.632 0.053
H: 0.760 0.868 0.553
O: 0.006 0.152 0.083
O: 0.006 0.348 0.583
O: 0.074 0.571 0.747
O: 0.074 0.929 0.247
O: 0.198 0.220 0.310
O: 0.198 0.280 0.810
O: 0.220 0.073 0.510
O: 0.220 0.427 0.010
O: 0.227 0.033 0.705
O: 0.227 0.467 0.205
O: 0.265 0.027 0.914
O: 0.265 0.473 0.414
O: 0.284 0.572 0.605
O: 0.284 0.928 0.105
O: 0.343 0.744 0.972
O: 0.343 0.756 0.472
O: 0.390 0.224 0.169
O: 0.390 0.276 0.669
O: 0.454 0.511 0.829
O: 0.454 0.989 0.329
O: 0.546 0.011 0.671
O: 0.546 0.489 0.171
O: 0.610 0.724 0.331
O: 0.610 0.776 0.831
O: 0.657 0.244 0.528
O: 0.657 0.256 0.028
O: 0.716 0.072 0.895
O: 0.716 0.428 0.395
O: 0.735 0.527 0.586
O: 0.735 0.973 0.086
O: 0.773 0.533 0.795
O: 0.773 0.967 0.295
O: 0.780 0.573 0.990
O: 0.780 0.927 0.490
O: 0.802 0.720 0.190
O: 0.802 0.780 0.690
O: 0.926 0.071 0.753
O: 0.926 0.429 0.253
O: 0.994 0.652 0.417
O: 0.994 0.848 0.917

Computed properties:
The space group is P2_1/c (14). The value obtained for the calculated density is 2.6 g/cm3. As for the formation energy: -2548.6 meV per atom.



(11)
Here is Sm2GeRh3 after structural relaxation from the Materials Project database. Energies are from PBE.

abc: 5.177 5.177 5.177
angles: 66.41 66.41 66.41
Sites, in units of the cell vectors:
Sm: 0.129 0.129 0.129
Sm: 0.871 0.871 0.871
Ge: 0.500 0.500 0.500
Rh: 0.000 0.500 0.500
Rh: 0.500 0.000 0.500
Rh: 0.500 0.500 0.000

Computed properties:
The space group is R-3m (166). The value obtained for the calculated density is 10.1 g/cm3. As for the formation energy: -835.2 meV per atom.



(12)
Here is Na3AsBr6 after structural relaxation from the Materials Project database. Energies are from PBE.

abc: 7.789 7.789 7.789
angles: 60.00 60.00 60.00
Sites, in units of the cell vectors:
Na: 0.000 0.000 0.000
Na: 0.250 0.250 0.250
Na: 0.750 0.750 0.750
As: 0.500 0.500 0.500
Br: 0.260 0.260 0.740
Br: 0.260 0.740 0.260
Br: 0.260 0.740 0.740
Br: 0.740 0.260 0.260
Br: 0.740 0.260 0.740
Br: 0.740 0.740 0.260

Computed properties:
The space group is Fm-3m (225). The value obtained for the calculated density is 3.1 g/cm3. As for the formation energy: -1283.9 meV per atom.